[1]
This record from Materials Project describes an optimized crystal structure of ErFeGe2. The functional is GGA-PBE.

```
ErFeGe2
1.0
4.1431 0.0000 0.0000
0.0000 16.5548 0.0000
0.0000 0.0000 4.1948
Er Fe Ge
4 4 8
Cartesian
0.0000 1.8109 1.0487
0.0000 14.7439 3.1461
2.0715 6.4665 3.1461
2.0715 10.0883 1.0487
0.0000 5.2782 1.0487
0.0000 11.2766 3.1461
2.0715 2.9992 3.1461
2.0715 13.5556 1.0487
0.0000 4.1525 3.1461
0.0000 7.5381 1.0487
0.0000 9.0167 3.1461
0.0000 12.4023 1.0487
2.0715 0.7393 3.1461
2.0715 4.1249 1.0487
2.0715 12.4299 3.1461
2.0715 15.8155 1.0487
```

Computed properties:
symmetry = Cmcm

---

[2]
This record from Materials Project describes an optimized crystal structure of Er4Fe3Ge4. The functional is GGA-PBE.

```
Er4Fe3Ge4
1.0
-1.6380 4.6118 7.2828
1.6380 -4.6118 7.2828
1.6380 4.6118 -7.2828
Er Fe Ge
4 3 4
Cartesian
1.6380 -2.9435 5.0891
0.0000 1.6683 2.1937
1.6380 2.9435 5.0891
0.0000 7.5553 2.1937
1.6380 0.0000 0.0000
0.0000 0.0000 5.8309
0.0000 0.0000 8.7348
1.6380 0.0000 4.0186
0.0000 3.3314 0.0000
0.0000 5.8922 0.0000
0.0000 4.6118 3.2643
```

Computed properties:
symmetry = Immm

---

[3]
This record from Materials Project describes an optimized crystal structure of ErFe6Sn4Ge2. The functional is GGA-PBE.

```
ErFe6Sn4Ge2
1.0
5.2896 0.0000 0.0000
-2.6448 4.5809 0.0000
0.0000 0.0000 8.7084
Er Fe Sn Ge
1 6 4 2
Cartesian
0.0000 0.0000 0.0000
-1.3224 2.2905 2.0180
-1.3224 2.2905 6.6905
2.6448 0.0000 2.0180
2.6448 0.0000 6.6905
1.3224 2.2905 2.0180
1.3224 2.2905 6.6905
0.0000 0.0000 2.9299
0.0000 0.0000 5.7786
0.0000 3.0540 4.3542
2.6448 1.5270 4.3542
0.0000 3.0540 0.0000
2.6448 1.5270 0.0000
```

Computed properties:
symmetry = P6/mmm

---

no.,total magnetic moment (Bohr magnetons per cell),formation energy from the elements (meV/atom)
1,0.038,-434
2,5.150,-132
3,11.816,-187